Record 1
A plane-wave DFT calculation with PBE was carried out for a relaxed structure of Na2Nb3GaSi4S2O24.

```
Na2Nb3GaSi4S2O24
1.0
8.829 0.000 0.000
4.400 7.692 0.000
0.374 0.031 22.772
Na Nb Ga Si S O
6 9 3 12 6 72
Cartesian
0.000 0.000 0.000
0.307 0.024 11.544
4.513 2.641 7.538
4.800 2.574 18.948
9.053 5.167 15.189
9.040 5.073 3.763
4.667 7.562 19.452
4.623 7.544 8.040
4.384 2.519 4.179
4.614 2.474 10.845
4.753 2.385 22.148
4.827 2.416 15.676
8.891 4.992 11.839
9.097 5.135 18.403
8.918 5.045 0.429
4.731 7.622 14.637
9.113 4.869 7.081
13.092 7.645 3.167
1.809 2.385 1.853
5.954 5.478 16.900
3.332 0.275 13.256
7.874 7.240 20.832
6.561 4.988 9.284
5.749 0.250 1.843
7.241 2.361 13.218
7.951 2.886 20.818
11.101 7.552 16.917
10.286 2.859 9.370
11.706 5.015 20.756
11.996 5.470 5.559
1.557 2.165 16.962
3.369 4.719 13.198
7.075 7.584 5.581
5.705 4.718 1.829
10.256 7.268 9.373
7.678 2.157 5.601
3.867 6.208 6.904
1.346 1.368 18.184
4.016 6.025 13.204
1.017 1.017 2.099
3.608 3.905 14.389
2.836 2.690 3.169
3.853 3.740 20.970
3.894 4.025 11.952
3.063 2.600 9.638
3.046 2.335 16.858
1.749 0.094 13.322
2.808 2.272 0.560
5.371 6.195 18.266
3.912 3.961 5.466
5.124 6.042 1.965
1.852 0.124 6.844
6.289 7.458 20.638
5.559 6.338 9.164
5.772 6.360 15.586
6.233 7.469 4.415
5.204 3.987 16.804
3.520 1.172 5.543
3.686 1.199 11.915
5.150 4.063 0.636
5.424 3.880 3.068
4.013 1.062 14.527
5.563 3.720 9.536
4.204 1.020 20.931
7.960 6.434 5.746
8.194 6.347 22.151
7.415 5.277 10.680
7.570 5.186 17.132
7.187 4.779 1.790
6.337 2.747 21.023
8.533 6.594 19.477
5.149 1.075 3.167
6.314 2.690 14.540
7.474 4.864 7.989
5.281 0.952 9.517
8.533 6.530 13.019
5.375 1.177 0.541
5.666 1.206 16.865
6.228 2.326 11.919
6.178 2.263 5.537
9.372 6.498 1.755
8.186 3.795 19.485
9.679 6.694 8.165
8.123 3.781 13.070
8.255 3.524 5.697
10.061 6.480 10.599
8.612 3.596 22.138
10.106 6.266 17.096
7.992 1.349 6.810
7.563 0.146 18.283
7.346 0.091 1.875
8.231 1.559 4.374
10.385 5.296 5.741
8.160 1.078 13.315
11.750 7.463 9.251
9.651 3.607 10.695
10.829 5.281 22.128
11.950 7.411 15.588
8.625 1.421 20.618
9.799 3.524 17.087
9.730 3.745 1.740
10.773 4.829 19.451
10.719 4.857 13.040
10.186 3.737 8.040
9.558 1.378 9.194
12.610 6.380 20.665
12.365 6.350 4.273
9.826 1.586 15.741
```

Values from the calculation:
The value obtained for the corrected total energy (MP2020 scheme) is -7.8386 eV/atom. The size of the total moment comes out at 0.0 μB/f.u. The calculation puts the calculated formation energy at -2.708 eV per atom. As for the space group: P1 (1).

=====

Record 2
A plane-wave DFT calculation with PBE was carried out for a relaxed structure of Na6NbGa3Si4S2O24.

```
Na6NbGa3Si4S2O24
1.0
8.903 0.000 0.000
4.420 7.741 0.000
0.041 0.170 22.180
Na Nb Ga Si S O
18 3 9 12 6 72
Cartesian
0.000 0.000 0.000
11.689 4.909 5.385
1.259 2.094 11.087
3.982 2.456 14.751
5.663 5.208 3.526
7.180 7.643 12.928
7.247 7.492 1.727
6.079 5.040 11.022
4.578 2.243 22.017
8.462 5.151 22.135
5.675 0.159 10.939
7.270 2.624 20.169
7.222 2.382 9.083
10.163 7.227 3.636
10.470 7.683 18.361
8.902 4.705 7.232
12.907 7.667 7.272
11.663 4.970 16.463
2.910 5.068 19.735
2.971 5.009 8.674
7.226 7.525 5.049
2.879 4.914 13.261
7.236 7.676 9.509
7.300 7.756 16.205
7.498 7.535 20.601
7.395 2.713 17.010
7.292 2.390 1.400
7.411 2.374 5.943
7.378 2.286 12.497
11.703 5.167 2.208
4.151 7.259 11.111
1.564 2.085 7.353
5.484 5.119 22.175
4.204 2.704 11.103
4.221 2.130 18.373
6.073 5.259 7.386
8.530 5.411 18.356
9.852 7.649 7.370
8.649 4.549 3.595
10.460 7.415 22.126
8.582 0.196 3.600
9.899 2.457 14.717
1.603 2.863 22.128
4.763 7.681 18.412
4.703 2.396 3.614
6.035 4.741 14.696
6.043 0.166 14.723
9.163 5.018 11.045
2.189 3.601 7.480
3.866 6.434 18.520
3.834 6.247 12.328
2.198 3.301 1.125
1.708 1.174 8.675
5.542 7.874 19.662
5.757 7.721 3.713
5.562 7.410 17.234
2.182 1.508 21.962
2.008 1.119 14.841
4.413 5.249 7.421
3.530 3.645 18.594
2.282 1.355 6.053
4.489 5.179 1.300
3.431 3.361 12.358
5.774 7.362 10.931
4.456 4.837 20.888
3.894 3.735 9.796
3.830 3.577 3.468
4.536 4.845 14.612
3.501 1.564 17.050
6.214 6.255 6.045
6.343 6.509 21.968
3.541 1.225 10.911
6.648 6.069 14.851
3.880 1.146 3.725
3.960 1.267 19.752
6.729 5.957 8.685
5.543 2.632 4.796
6.210 3.843 15.879
6.598 4.117 13.460
5.498 2.112 2.376
6.379 3.601 0.053
5.847 2.662 11.232
7.955 6.117 3.742
8.969 7.790 8.709
6.710 3.814 7.160
8.826 7.583 22.025
8.972 7.807 14.787
7.962 5.976 19.780
5.858 2.219 18.193
8.351 6.437 17.112
8.924 7.301 6.026
8.305 6.221 10.931
7.843 3.994 2.276
6.215 1.040 13.491
7.952 3.901 18.317
6.437 1.148 7.184
8.303 3.811 11.141
6.720 0.973 0.050
6.615 0.811 15.925
8.319 3.756 4.961
10.561 6.266 1.234
10.026 5.266 12.215
10.765 6.239 7.487
10.224 5.319 18.571
9.991 4.773 9.816
7.916 0.999 11.126
11.092 6.584 14.561
7.858 0.794 4.924
11.169 6.653 20.826
8.922 2.679 15.991
8.982 2.590 0.006
10.268 4.778 3.473
8.864 2.246 7.216
8.291 1.068 18.299
8.349 1.041 2.231
9.040 2.237 13.318
12.334 6.568 9.742
10.728 3.716 20.908
10.908 3.801 14.591
12.417 6.381 3.552
```

Values from the calculation:
The value obtained for the corrected total energy (MP2020 scheme) is -6.8970 eV/atom. The size of the total moment comes out at 0.0 μB/f.u. The calculation puts the calculated formation energy at -2.501 eV per atom. As for the space group: P1 (1).

=====

Record 3
A plane-wave DFT calculation with PBE was carried out for a relaxed structure of Na10Nb4Ga4Si9S3O48.

```
Na10Nb4Ga4Si9S3O48
1.0
8.927 0.000 0.000
-0.044 15.552 0.000
-0.002 -0.296 22.376
Na Nb Ga Si S O
30 12 12 27 9 144
Cartesian
0.000 0.000 0.000
-0.029 10.151 14.926
0.056 14.892 7.547
1.166 6.958 18.740
1.181 12.379 3.841
1.220 12.726 18.649
1.259 7.620 11.196
1.599 1.915 18.814
2.751 4.880 5.551
2.777 15.117 9.384
2.846 4.792 16.754
2.925 10.112 1.900
2.932 10.041 13.035
2.965 15.045 20.570
4.100 2.079 7.581
4.390 12.855 7.542
4.452 7.744 0.009
4.513 2.367 14.934
4.543 7.116 7.544
5.668 4.603 3.827
5.709 15.396 11.203
5.776 4.914 18.728
7.192 12.654 5.552
7.218 12.594 16.780
7.265 7.343 9.378
7.321 7.281 20.517
7.393 2.247 13.084
7.400 2.341 1.866
8.539 9.857 7.581
8.874 5.078 7.540
2.719 15.148 1.531
2.750 9.763 16.414
2.809 4.665 9.001
2.939 4.492 20.149
2.942 9.971 5.270
2.951 14.964 12.722
7.198 7.364 1.528
7.253 12.444 9.003
7.291 2.040 16.485
7.372 12.291 20.203
7.408 7.191 12.719
7.428 2.196 5.267
2.799 4.823 2.440
2.791 10.067 9.854
2.808 15.021 6.190
2.878 4.694 13.633
2.864 9.798 21.103
2.851 14.974 17.320
7.235 12.600 2.439
7.278 2.290 9.860
7.294 7.245 6.188
7.321 7.126 17.428
7.305 12.479 13.645
7.368 2.130 21.043
0.184 15.122 3.924
0.258 9.726 18.844
0.293 4.562 11.403
0.962 2.082 7.677
0.968 12.489 0.225
0.984 7.109 15.119
1.493 12.810 15.141
1.533 2.635 0.214
1.549 7.734 7.666
1.564 12.213 7.601
4.198 2.469 11.427
4.202 7.612 18.872
4.221 12.948 3.916
4.670 7.348 3.927
4.735 12.337 11.396
4.788 1.855 18.852
5.406 9.859 7.678
5.438 4.701 0.229
5.466 14.924 15.128
5.971 5.016 15.130
5.971 10.409 0.218
6.035 -0.042 7.664
6.050 4.436 7.601
8.601 4.294 18.820
8.618 -0.227 18.849
8.637 10.252 11.434
8.709 5.174 3.916
1.562 1.722 15.076
1.552 7.114 0.174
4.146 1.862 3.914
4.138 12.045 18.813
4.161 6.965 11.366
6.019 9.481 15.103
6.000 14.875 0.177
8.588 9.638 3.913
8.606 14.741 11.368
0.004 1.770 8.911
0.037 2.491 6.338
0.007 12.590 21.266
0.042 7.515 13.783
0.081 1.832 15.121
0.073 7.257 0.298
0.059 12.402 1.545
0.084 7.045 16.440
1.129 14.895 5.222
1.164 9.773 3.946
1.157 14.877 11.463
1.157 15.399 2.576
1.203 4.980 10.042
1.189 10.105 17.480
1.269 4.522 12.657
1.265 9.521 20.071
1.272 15.103 18.667
1.297 9.948 11.259
1.327 4.429 18.931
1.360 4.967 3.736
1.717 11.267 6.247
1.762 8.609 9.010
1.771 6.029 21.294
1.773 13.639 16.500
1.844 3.561 1.467
1.868 0.894 13.883
1.877 3.484 7.762
1.878 8.566 15.192
1.860 13.939 0.277
1.947 10.953 22.361
1.978 5.880 14.909
2.001 0.869 7.427
2.116 1.117 16.318
2.173 6.479 1.338
2.168 8.455 0.068
2.185 3.056 14.986
2.196 3.065 21.210
2.166 13.721 7.509
2.173 13.608 13.839
2.277 6.236 7.773
2.260 11.304 15.227
2.296 1.120 0.314
2.304 8.472 6.376
2.304 11.559 8.857
3.372 11.490 3.984
3.446 0.959 11.498
3.436 6.107 18.956
3.444 8.381 17.578
3.462 13.748 2.645
3.525 3.236 10.074
3.530 8.292 11.256
3.511 13.387 18.715
3.538 11.426 20.011
3.574 6.308 12.533
3.592 3.227 3.828
3.628 1.240 5.149
3.672 0.698 18.625
3.746 8.718 3.983
3.783 11.068 11.211
3.807 5.993 3.738
3.810 13.775 11.478
3.860 1.047 2.711
3.865 3.298 18.945
3.871 8.428 20.221
3.897 3.335 12.744
3.907 11.238 17.592
3.938 6.169 10.106
3.913 13.764 5.285
4.379 4.726 14.949
4.385 10.098 0.034
4.401 4.581 7.763
4.387 15.319 7.469
4.445 9.545 8.910
4.494 4.821 21.271
4.479 10.267 6.339
4.463 14.805 16.375
4.528 4.666 1.555
4.503 15.272 13.762
4.530 9.636 15.218
4.518 15.002 0.291
5.616 7.125 5.225
5.648 1.992 3.947
5.615 12.201 18.927
5.642 7.105 11.459
5.637 7.627 2.577
5.661 2.278 17.488
5.644 12.753 10.036
5.709 1.685 20.129
5.708 12.288 12.652
5.784 2.170 11.251
5.776 7.339 18.688
5.801 12.741 3.741
6.202 3.489 6.248
6.248 0.833 9.008
6.239 5.874 16.466
6.241 8.684 13.865
6.229 13.750 21.327
6.273 11.331 1.480
6.321 11.260 7.763
6.347 6.157 0.295
6.373 0.801 15.185
6.396 3.435 0.061
6.417 13.652 14.914
6.443 8.645 7.429
6.618 8.846 16.282
6.658 0.651 0.048
6.623 10.828 14.993
6.615 14.250 1.363
6.651 5.833 13.823
6.652 5.944 7.509
6.641 10.885 21.249
6.710 3.512 15.186
6.720 8.898 0.308
6.718 14.011 7.772
6.789 0.695 6.374
6.791 3.782 8.858
7.860 3.716 3.988
7.881 3.641 20.086
7.887 8.740 11.505
7.880 13.812 18.962
7.949 0.535 17.527
7.948 5.976 2.647
7.968 11.015 10.079
7.992 5.786 18.696
8.016 0.512 11.255
8.014 14.079 12.533
8.034 11.008 3.827
8.071 9.019 5.148
8.234 0.940 3.984
8.269 3.292 11.221
8.253 8.448 18.631
8.253 13.765 3.721
8.299 6.007 11.491
8.302 8.828 2.709
8.294 11.141 18.942
8.337 11.117 12.755
8.406 3.302 17.503
8.402 5.989 5.287
8.378 13.942 10.106
8.434 0.684 20.172
8.836 12.492 14.970
8.843 12.356 7.760
8.881 2.301 0.048
8.872 7.544 7.471
```

Values from the calculation:
The value obtained for the corrected total energy (MP2020 scheme) is -7.3100 eV/atom. The size of the total moment comes out at 0.0 μB/f.u. The calculation puts the calculated formation energy at -2.637 eV per atom. As for the space group: P1 (1).

=====

Values of uncorrected energy, in order: -7.381, -6.485, -6.887, all in eV per atom.